[1]
# YVO3 (PBE with a Hubbard U, relaxed)
data_YVO3
_chemical_formula_sum 'Y4 V4 O12'
_cell_length_a 5.6609
_cell_length_b 7.7163
_cell_length_c 5.3593
_cell_angle_alpha 90.00
_cell_angle_beta 90.00
_cell_angle_gamma 90.00
_space_group_name_H-M_alt 'P n m a'
_space_group_IT_number 62
loop_
_space_group_symop_operation_xyz
'x,y,z'
'-x,-y,-z'
'-x+1/2,-y,z+1/2'
'x+1/2,y,-z+1/2'
'x+1/2,-y+1/2,-z+1/2'
'-x+1/2,y+1/2,z+1/2'
'-x,y+1/2,-z'
'x,-y+1/2,z'
loop_
_atom_site_label
_atom_site_type_symbol
_atom_site_fract_x
_atom_site_fract_y
_atom_site_fract_z
Y1 Y 0.0700 0.2500 0.0221
V1 V 0.0000 0.0000 0.5000
O1 O 0.0425 0.7500 0.3822
O2 O 0.1996 0.5594 0.8130
# Formation energy from the elements ... -3274 meV/atom

---

[2]
# Fe3O4F2 (PBE with a Hubbard U, relaxed)
data_Fe3O4F2
_chemical_formula_sum 'Fe12 O16 F8'
_cell_length_a 9.2507
_cell_length_b 6.4032
_cell_length_c 7.5199
_cell_angle_alpha 90.00
_cell_angle_beta 115.02
_cell_angle_gamma 90.00
_space_group_name_H-M_alt 'C 1 2/m 1'
_space_group_IT_number 12
loop_
_space_group_symop_operation_xyz
'x,y,z'
'-x,-y,-z'
'-x,y,-z'
'x,-y,z'
'x+1/2,y+1/2,z'
'-x+1/2,-y+1/2,-z'
'-x+1/2,y+1/2,-z'
'x+1/2,-y+1/2,z'
loop_
_atom_site_label
_atom_site_type_symbol
_atom_site_fract_x
_atom_site_fract_y
_atom_site_fract_z
Fe1 Fe 0.0000 0.0000 0.0000
Fe2 Fe 0.0000 0.0000 0.5000
Fe3 Fe 0.1648 0.5000 0.1713
Fe4 Fe 0.1847 0.5000 0.6623
O1 O 0.0000 0.3070 0.0000
O2 O 0.0942 0.0000 0.2836
O3 O 0.1713 0.1954 0.6626
F1 F 0.0550 0.5000 0.3670
F2 F 0.2349 0.0000 0.0362
# Formation energy from the elements ... -1801 meV/atom
# Energy relative to the lowest polymorph listed for this composition ... 0.000 eV/atom

---

[3]
# Mn3H24O12F8 (PBE with a Hubbard U, relaxed)
data_Mn3H24O12F8
_chemical_formula_sum 'Mn3 H24 O12 F8'
_cell_length_a 6.2751
_cell_length_b 8.9977
_cell_length_c 9.4080
_cell_angle_alpha 110.61
_cell_angle_beta 103.36
_cell_angle_gamma 106.90
_space_group_name_H-M_alt 'P -1'
_space_group_IT_number 2
loop_
_space_group_symop_operation_xyz
'x,y,z'
'-x,-y,-z'
loop_
_atom_site_label
_atom_site_type_symbol
_atom_site_fract_x
_atom_site_fract_y
_atom_site_fract_z
Mn1 Mn 0.0000 0.0000 0.0000
Mn2 Mn 0.1498 0.6962 0.3782
H1 H 0.0256 0.0030 0.3000
H2 H 0.1031 0.3215 0.9871
H3 H 0.1175 0.8774 0.7095
H4 H 0.1966 0.3627 0.1749
H5 H 0.2154 0.4424 0.5240
H6 H 0.2642 0.6108 0.9573
H7 H 0.3221 0.3603 0.6335
H8 H 0.3560 0.1109 0.5731
H9 H 0.3864 0.9101 0.0700
H10 H 0.4492 0.0864 0.2256
H11 H 0.4640 0.2992 0.0193
H12 H 0.4890 0.7616 0.2348
O1 O 0.0339 0.9423 0.7653
O2 O 0.1829 0.2845 0.0639
O3 O 0.2107 0.4168 0.6175
O4 O 0.3430 0.0109 0.1096
O5 O 0.4150 0.7148 0.0295
O6 O 0.4819 0.2283 0.6525
F1 F 0.0015 0.3937 0.8506
F2 F 0.1426 0.9161 0.4093
F3 F 0.1823 0.4852 0.3522
F4 F 0.2959 0.7920 0.6073
# Formation energy from the elements ... -1637 meV/atom

---

[4]
# Sm2MgMo2I8O30 (PBE with a Hubbard U, relaxed)
data_Sm2MgMo2I8O30
_chemical_formula_sum 'Sm2 Mg1 Mo2 I8 O30'
_cell_length_a 7.1247
_cell_length_b 7.1818
_cell_length_c 14.4324
_cell_angle_alpha 87.44
_cell_angle_beta 89.73
_cell_angle_gamma 65.02
_space_group_name_H-M_alt 'P 1'
_space_group_IT_number 1
loop_
_space_group_symop_operation_xyz
'x,y,z'
loop_
_atom_site_label
_atom_site_type_symbol
_atom_site_fract_x
_atom_site_fract_y
_atom_site_fract_z
Sm1 Sm 0.0000 0.0000 0.0000
Sm2 Sm 0.1878 0.1202 0.4758
Mg1 Mg 0.2878 0.1734 0.7113
Mo1 Mo 0.5028 0.3436 0.1618
Mo2 Mo 0.6771 0.7848 0.6582
I1 I 0.2438 0.6344 0.6303
I2 I 0.3230 0.4467 0.9061
I3 I 0.3469 0.8540 0.2390
I4 I 0.5897 0.3223 0.4014
I5 I 0.5927 0.8373 0.9058
I6 I 0.8158 0.2856 0.7540
I7 I 0.8719 0.7004 0.3775
I8 I 0.9324 0.5102 0.1177
O1 O 0.0062 0.1695 0.8467
O2 O 0.0113 0.1971 0.6621
O3 O 0.0760 0.4380 0.3962
O4 O 0.1314 0.7126 0.8960
O5 O 0.1474 0.9549 0.1491
O6 O 0.1875 0.9640 0.3393
O7 O 0.2040 0.7773 0.5190
O8 O 0.2850 0.3798 0.5932
O9 O 0.3080 0.3963 0.7796
O10 O 0.3161 0.4999 0.0707
O11 O 0.3444 0.5945 0.2555
O12 O 0.3627 0.9480 0.9750
O13 O 0.3650 0.2070 0.2085
O14 O 0.4300 0.9774 0.6074
O15 O 0.4635 0.9062 0.7873
O16 O 0.5074 0.1108 0.4186
O17 O 0.5246 0.5689 0.6475
O18 O 0.5610 0.4848 0.8928
O19 O 0.6373 0.6537 0.3854
O20 O 0.6608 0.5525 0.1400
O21 O 0.6749 0.0490 0.9071
O22 O 0.7027 0.2541 0.2856
O23 O 0.7035 0.1647 0.0969
O24 O 0.7991 0.9329 0.7014
O25 O 0.8264 0.5459 0.7559
O26 O 0.8301 0.2022 0.4688
O27 O 0.8355 0.6742 0.5641
O28 O 0.8569 0.7521 0.0490
O29 O 0.8726 0.7394 0.2525
O30 O 0.9842 0.3393 0.0204
# Formation energy from the elements ... -1520 meV/atom
# Energy relative to the lowest polymorph listed for this composition ... 0.000 eV/atom

---

[5]
# Ca4Mn4O11 (PBE with a Hubbard U, relaxed)
data_Ca4Mn4O11
_chemical_formula_sum 'Ca4 Mn4 O11'
_cell_length_a 5.4318
_cell_length_b 5.4318
_cell_length_c 7.6343
_cell_angle_alpha 90.00
_cell_angle_beta 90.00
_cell_angle_gamma 90.00
_space_group_name_H-M_alt 'P 4/m m m'
_space_group_IT_number 123
_space_group_name_Hall '-P 4 2'
loop_
_atom_site_label
_atom_site_type_symbol
_atom_site_fract_x
_atom_site_fract_y
_atom_site_fract_z
Ca1 Ca 0.0000 0.5000 0.0000
Ca2 Ca 0.0000 0.5000 0.5000
Mn1 Mn 0.0000 0.0000 0.2428
Mn2 Mn 0.5000 0.5000 0.2556
O1 O 0.0000 0.0000 0.0000
O2 O 0.0000 0.0000 0.5000
O3 O 0.2548 0.2548 0.2271
O4 O 0.5000 0.5000 0.5000
# Formation energy from the elements ... -2461 meV/atom
# Energy relative to the lowest polymorph listed for this composition ... 0.062 eV/atom

---

[6]
# Ho2WO6 (PBE with a Hubbard U, relaxed)
data_Ho2WO6
_chemical_formula_sum 'Ho16 W8 O48'
_cell_length_a 5.2729
_cell_length_b 8.6667
_cell_length_c 20.9992
_cell_angle_alpha 90.00
_cell_angle_beta 90.00
_cell_angle_gamma 90.00
_space_group_name_H-M_alt 'P 21 21 21'
_space_group_IT_number 19
loop_
_space_group_symop_operation_xyz
'x,y,z'
'-x+1/2,-y,z+1/2'
'x+1/2,-y+1/2,-z'
'-x,y+1/2,-z+1/2'
loop_
_atom_site_label
_atom_site_type_symbol
_atom_site_fract_x
_atom_site_fract_y
_atom_site_fract_z
Ho1 Ho 0.0103 0.2447 0.3003
Ho2 Ho 0.0362 0.7451 0.9317
Ho3 Ho 0.0407 0.0880 0.0648
Ho4 Ho 0.0880 0.1050 0.8342
W1 W 0.0130 0.4780 0.8119
W2 W 0.0642 0.4831 0.0567
O1 O 0.1084 0.8166 0.4015
O2 O 0.1262 0.8250 0.6320
O3 O 0.1795 0.1108 0.3804
O4 O 0.1788 0.6256 0.7542
O5 O 0.1931 0.0477 0.5031
O6 O 0.2033 0.4528 0.6221
O7 O 0.2132 0.1277 0.6408
O8 O 0.2183 0.3758 0.5027
O9 O 0.2292 0.3174 0.7782
O10 O 0.2292 0.4465 0.3733
O11 O 0.2406 0.3254 0.0148
O12 O 0.2457 0.0304 0.2519
# Formation energy from the elements ... -3305 meV/atom
# Energy relative to the lowest polymorph listed for this composition ... 0.015 eV/atom

---

[7]
# NaCoO2 (PBE with a Hubbard U, relaxed)
data_NaCoO2
_chemical_formula_sum 'Na4 Co4 O8'
_cell_length_a 2.9650
_cell_length_b 7.9072
_cell_length_c 7.9307
_cell_angle_alpha 69.14
_cell_angle_beta 87.87
_cell_angle_gamma 87.46
_space_group_name_H-M_alt 'P 1'
_space_group_IT_number 1
loop_
_space_group_symop_operation_xyz
'x,y,z'
loop_
_atom_site_label
_atom_site_type_symbol
_atom_site_fract_x
_atom_site_fract_y
_atom_site_fract_z
Na1 Na 0.0000 0.0000 0.0000
Na2 Na 0.0006 0.4983 0.4983
Na3 Na 0.5308 0.3707 0.8676
Na4 Na 0.5327 0.8731 0.3703
Co1 Co 0.0207 0.2582 0.2395
Co2 Co 0.0230 0.7523 0.7439
Co3 Co 0.5070 0.6234 0.1196
Co4 Co 0.5082 0.1181 0.6225
O1 O 0.0003 0.0082 0.5231
O2 O 0.0013 0.5130 0.0183
O3 O 0.0620 0.7235 0.2233
O4 O 0.0627 0.2216 0.7231
O5 O 0.4680 0.1487 0.1450
O6 O 0.4710 0.6462 0.6462
O7 O 0.5321 0.8488 0.8589
O8 O 0.5336 0.3511 0.3556
# Formation energy from the elements ... -1457 meV/atom

---

[8]
# V3H4O8 (PBE with a Hubbard U, relaxed)
data_V3H4O8
_chemical_formula_sum 'V6 H8 O16'
_cell_length_a 21.9819
_cell_length_b 4.5330
_cell_length_c 5.3667
_cell_angle_alpha 90.00
_cell_angle_beta 100.35
_cell_angle_gamma 90.00
_space_group_name_H-M_alt 'C 1 2/m 1'
_space_group_IT_number 12
loop_
_space_group_symop_operation_xyz
'x,y,z'
'-x,-y,-z'
'-x,y,-z'
'x,-y,z'
'x+1/2,y+1/2,z'
'-x+1/2,-y+1/2,-z'
'-x+1/2,y+1/2,-z'
'x+1/2,-y+1/2,z'
loop_
_atom_site_label
_atom_site_type_symbol
_atom_site_fract_x
_atom_site_fract_y
_atom_site_fract_z
V1 V 0.0000 0.0000 0.0000
V2 V 0.1581 0.0000 0.8841
H1 H 0.0488 0.0000 0.5048
H2 H 0.1967 0.0000 0.4225
O1 O 0.0431 0.0000 0.3175
O2 O 0.0741 0.0000 0.8666
O3 O 0.1837 0.0000 0.5967
O4 O 0.2083 0.0000 0.1576
# Formation energy from the elements ... -1532 meV/atom
# Energy relative to the lowest polymorph listed for this composition ... 0.253 eV/atom

---

no.,total energy after the MP2020 corrections (eV/atom)
1,-9.353
2,-7.249
3,-5.543
4,-6.016
5,-7.677
6,-9.062
7,-6.038
8,-6.893